Sb4PdC4O4F22 | PBE | relaxed

Computed properties:
energy of formation from the pure elements: -2.173 eV/atom
DFT total energy: -734.7 eV per cell

Cell lengths 12.8737, 10.1078, 18.3898 Å; angles 90.00, 103.39, 90.00 degrees
Last column: nearest neighbours and their distance in Å.
Space group P2_1/c (No. 14)
Symmetry-distinct sites (fractional):
Sb  0.0101  0.2395  0.3241  6 F 1.90-2.07
Sb  0.1209  0.2448  0.6342  6 F 1.89-2.08
Sb  0.4344  0.2413  0.0151  6 F 1.88-2.06
Sb  0.4473  0.7447  0.6688  6 F 1.89-2.10
Pd  0.2281  0.7416  0.4115  4 C 1.99-2.00
C  0.1790  0.6121  0.4783  1 O 1.13
C  0.1962  0.6136  0.9766  1 O 1.13
C  0.2637  0.5920  0.3504  1 O 1.13
C  0.2751  0.6217  0.8470  1 O 1.13
O  0.1504  0.5432  0.5181  1 C 1.13
O  0.1804  0.5336  0.0157  1 C 1.13
O  0.2854  0.5040  0.3189  1 C 1.13
O  0.3028  0.5404  0.8136  1 C 1.13
F  0.0052  0.1205  0.6074  1 Sb 1.92
F  0.0107  0.1229  0.1138  1 Sb 1.92
F  0.0640  0.7230  0.0983  1 Sb 1.90
F  0.0733  0.6093  0.2387  1 Sb 1.91
F  0.0867  0.6323  0.7300  1 Sb 1.91
F  0.0935  0.2380  0.7413  2 Sb 2.07-2.08
F  0.1021  0.1241  0.8728  1 Sb 1.90
F  0.1150  0.1099  0.3633  1 Sb 1.90
F  0.1429  0.2498  0.0359  1 Sb 1.89
F  0.2159  0.1034  0.6676  1 Sb 1.89
F  0.2217  0.1222  0.1726  1 Sb 1.89
F  0.3185  0.7322  0.5906  1 Sb 1.93
F  0.3312  0.1050  0.9855  1 Sb 1.90
F  0.3423  0.1306  0.4580  1 Sb 1.90
F  0.3718  0.7182  0.2443  1 Sb 1.91
F  0.3959  0.2190  0.6054  1 Sb 1.88
F  0.4135  0.2478  0.2697  1 Sb 1.89
F  0.4410  0.5594  0.6819  1 Sb 1.89
F  0.4482  0.6364  0.9682  1 Sb 1.92
F  0.4565  0.5761  0.1405  1 Sb 1.89
F  0.4612  0.6120  0.4404  1 Sb 1.92
F  0.4764  0.1953  0.9167  2 Sb 2.06-2.10

***

Cs2KBiCl6 | PBE | relaxed

Computed properties:
energy of formation from the pure elements: -1.993 eV/atom
DFT total energy: -136.5 eV per cell

Cell lengths 11.4945, 11.4945, 11.4945 Å; angles 90.00, 90.00, 90.00 degrees
Last column: nearest neighbours and their distance in Å.
Space group Fm-3m (No. 225)
Symmetry-distinct sites (fractional):
Cs  0.2500  0.2500  0.2500  12 Cl 4.07
K  0.0000  0.0000  0.0000  6 Cl 3.03
Bi  0.0000  0.0000  0.5000  6 Cl 2.72
Cl  0.0000  0.0000  0.2633  1 Bi 2.72, 1 K 3.03

***

CdH2O2 | PBE | relaxed

Computed properties:
energy relative to the lowest polymorph listed for this composition: 4.3 meV per atom
maximum piezoelectric response: 0.716 C/m²
energy of formation from the pure elements: -1.321 eV/atom
DFT total energy: -45.7 eV per cell

Cell lengths 3.5056, 5.7661, 6.1271 Å; angles 116.59, 106.33, 90.61 degrees
Last column: nearest neighbours and their distance in Å.
Space group P1 (No. 1)
Symmetry-distinct sites (fractional):
Cd  0.0000  0.0000  0.0000  6 O 2.29-2.51
Cd  0.3070  0.3124  0.6128  6 O 2.29-2.51
H  0.0149  0.5306  0.0170  1 O 1.00
H  0.3001  0.8208  0.5899  1 O 0.99
H  0.4854  0.4651  0.2934  1 O 0.98
H  0.6786  0.8828  0.3259  1 O 0.98
O  0.2059  0.4626  0.2933  1 H 0.98
O  0.3753  0.9938  0.7464  1 H 0.99
O  0.6737  0.0442  0.3107  1 H 0.98
O  0.9324  0.5550  0.8602  1 H 1.00

***

PrPPd | PBE | relaxed

Computed properties:
energy of formation from the pure elements: -1.233 eV/atom
DFT total energy: -38.1 eV per cell

Cell lengths 4.2579, 4.2579, 7.9378 Å; angles 90.00, 90.00, 120.00 degrees
Last column: nearest neighbours and their distance in Å.
Space group P6_3/mmc (No. 194)
Symmetry-distinct sites (fractional):
Pr  0.0000  0.0000  0.0000  6 Pd 3.16, 6 P 3.16
P  0.3333  0.6667  0.2500  3 Pd 2.46
Pd  0.3333  0.6667  0.7500  3 P 2.46

***

Sm3P3O14 | PBE | relaxed

Computed properties:
energy of formation from the pure elements: -2.923 eV/atom
DFT total energy: -1188.1 eV per cell

Cell lengths 28.1100, 7.1859, 12.1423 Å; angles 90.00, 115.18, 90.00 degrees
Last column: nearest neighbours and their distance in Å.
Space group C2 (No. 5)
Symmetry-distinct sites (fractional):
Sm  0.0414  0.0000  0.3052  9 O 2.40-2.60
Sm  0.0417  0.5024  0.8047  9 O 2.41-2.59
Sm  0.1244  0.2908  0.6259  8 O 2.40-2.62
Sm  0.1245  0.7839  0.1239  8 O 2.39-2.55
Sm  0.2083  0.4900  0.4421  9 O 2.37-2.62
Sm  0.2081  0.9967  0.9412  9 O 2.41-2.61
P  0.0000  0.3005  0.5000  4 O 1.55
P  0.0000  0.8048  0.0000  4 O 1.55
P  0.0832  0.9938  0.8159  4 O 1.54-1.56
P  0.0842  0.4882  0.3145  4 O 1.54-1.57
P  0.1667  0.4910  0.9367  4 O 1.54-1.56
P  0.1667  0.9913  0.4358  4 O 1.55-1.56
P  0.2497  0.3067  0.7502  4 O 1.54-1.57
O  0.0382  0.1799  0.4686  1 P 1.55
O  0.0377  0.4187  0.6090  1 P 1.55
O  0.0379  0.6840  0.9676  1 P 1.55
O  0.0381  0.9210  0.1091  1 P 1.55
O  0.0455  0.1589  0.8059  1 P 1.56
O  0.0452  0.8319  0.7524  1 P 1.54
O  0.0463  0.3267  0.2530  1 P 1.54
O  0.0465  0.6558  0.3013  1 P 1.57
O  0.0521  0.3128  0.9799  1 O 2.32, 1 Sm 2.44
O  0.0568  0.7921  0.4777  1 O 2.26, 1 Sm 2.46
O  0.1202  0.0451  0.7559  1 P 1.55
O  0.1215  0.4497  0.4494  1 P 1.55
O  0.1208  0.9509  0.9499  1 P 1.55
O  0.1221  0.5344  0.2558  1 P 1.55
O  0.1294  0.4623  0.8003  1 P 1.55
O  0.1286  0.5367  0.9955  1 P 1.56
O  0.1299  0.0382  0.4970  1 P 1.55
O  0.1296  0.9505  0.3012  1 P 1.55
O  0.2008  0.8050  0.7638  1 O 2.01
O  0.2025  0.3226  0.9956  1 P 1.54
O  0.2030  0.8205  0.4945  1 P 1.56
O  0.2054  0.1516  0.4489  1 P 1.55
O  0.2057  0.6547  0.9563  1 P 1.56
O  0.2107  0.1957  0.7838  1 P 1.54
O  0.2111  0.9254  0.1439  1 P 1.55
O  0.2132  0.6732  0.2793  1 P 1.57
O  0.2135  0.4208  0.6380  1 P 1.54
O  0.2417  0.3443  0.2903  1 O 2.01

***

MnZnTe4 | PBE | relaxed

Computed properties:
energy of formation from the pure elements: -0.410 eV/atom
DFT total energy: -47.5 eV per cell

Cell lengths 6.8792, 6.8962, 6.9067 Å; angles 90.00, 90.17, 90.00 degrees
Last column: nearest neighbours and their distance in Å.
Space group P2_1/c (No. 14)
Symmetry-distinct sites (fractional):
Mn  0.0000  0.0000  0.0000  6 Te 2.84-2.86
Zn  0.5000  0.0000  0.5000  6 Te 2.89
Te  0.1152  0.1207  0.3801  1 Te 2.84, 2 Mn 2.86, 1 Zn 2.89
Te  0.3791  0.6154  0.3838  1 Te 2.80, 1 Mn 2.84, 2 Zn 2.89

***

Q: What is the energy of formation from the pure elements in the sixth record?
A: -0.410 eV/atom